# 1
The following is a DFT calculation (GGA+U) of a relaxed structure of LiCrP4O12.

Cell lengths 8.512, 8.512, 9.530 Å; angles 119.22, 119.22, 50.85 degrees
Fractional coordinates of all 36 atoms:
Li: 0.191 0.809 0.750
Li: 0.809 0.191 0.250
Cr: 0.363 0.637 0.250
Cr: 0.637 0.363 0.750
P: 0.057 0.202 0.637
P: 0.198 0.526 0.833
P: 0.202 0.057 0.137
P: 0.474 0.802 0.667
P: 0.526 0.198 0.333
P: 0.798 0.943 0.863
P: 0.802 0.474 0.167
P: 0.943 0.798 0.363
O: 0.011 0.133 0.452
O: 0.015 0.267 0.220
O: 0.107 0.693 0.277
O: 0.133 0.011 0.952
O: 0.149 0.350 0.696
O: 0.245 0.525 0.006
O: 0.267 0.015 0.720
O: 0.307 0.893 0.223
O: 0.350 0.149 0.196
O: 0.356 0.514 0.793
O: 0.475 0.755 0.494
O: 0.486 0.644 0.707
O: 0.514 0.356 0.293
O: 0.525 0.245 0.506
O: 0.644 0.486 0.207
O: 0.650 0.851 0.804
O: 0.693 0.107 0.777
O: 0.733 0.985 0.280
O: 0.755 0.475 0.994
O: 0.851 0.650 0.304
O: 0.867 0.989 0.048
O: 0.893 0.307 0.723
O: 0.985 0.733 0.780
O: 0.989 0.867 0.548

Output
ΔE_f   -2.584 eV/atom
Space group   C2/c, No. 15
Electronic total energy   -7.159 eV/atom
E above lowest polymorph   1.04 eV per formula unit
Crystal system   monoclinic


# 2
The following is a DFT calculation (GGA+U) of a relaxed structure of Li4Cr7P6O24.

Cell lengths 9.043, 9.043, 6.507 Å; angles 98.75, 98.75, 102.32 degrees
Fractional coordinates of all 41 atoms:
Li: 0.000 0.000 0.000
Li: 0.331 0.561 0.968
Li: 0.561 0.331 0.968
Li: 0.644 0.644 0.915
Cr: 0.004 0.004 0.493
Cr: 0.004 0.647 0.668
Cr: 0.344 0.658 0.482
Cr: 0.360 0.993 0.303
Cr: 0.647 0.004 0.668
Cr: 0.658 0.344 0.482
Cr: 0.993 0.360 0.303
P: 0.088 0.709 0.182
P: 0.296 0.902 0.790
P: 0.318 0.318 0.570
P: 0.688 0.688 0.404
P: 0.709 0.088 0.182
P: 0.902 0.296 0.790
O: 0.018 0.356 0.998
O: 0.029 0.617 0.352
O: 0.117 0.885 0.728
O: 0.117 0.890 0.249
O: 0.188 0.188 0.596
O: 0.247 0.427 0.441
O: 0.251 0.678 0.174
O: 0.318 0.734 0.792
O: 0.356 0.018 0.998
O: 0.386 0.957 0.615
O: 0.415 0.415 0.786
O: 0.427 0.247 0.441
O: 0.580 0.754 0.543
O: 0.595 0.595 0.185
O: 0.617 0.029 0.352
O: 0.661 0.971 0.973
O: 0.678 0.251 0.174
O: 0.734 0.318 0.792
O: 0.754 0.580 0.543
O: 0.819 0.819 0.382
O: 0.885 0.117 0.728
O: 0.890 0.117 0.249
O: 0.957 0.386 0.615
O: 0.971 0.661 0.973

Output
ΔE_f   -2.454 eV/atom
Space group   Cm, No. 8
Electronic total energy   -7.233 eV/atom
E above lowest polymorph   0.72 eV per formula unit
Crystal system   monoclinic


# 3
The following is a DFT calculation (GGA+U) of a relaxed structure of LiCrPO5.

Cell lengths 9.077, 6.292, 6.343 Å; angles 90.00, 90.00, 90.00 degrees
Fractional coordinates of all 32 atoms:
Li: 0.236 0.020 0.000
Li: 0.264 0.520 0.500
Li: 0.736 0.480 0.000
Li: 0.764 0.980 0.500
Cr: 0.050 0.753 0.731
Cr: 0.450 0.253 0.231
Cr: 0.550 0.747 0.731
Cr: 0.950 0.247 0.231
P: 0.000 0.252 0.732
P: 0.000 0.748 0.232
P: 0.500 0.248 0.732
P: 0.500 0.752 0.232
O: 0.100 0.764 0.035
O: 0.101 0.450 0.720
O: 0.101 0.738 0.428
O: 0.103 0.055 0.745
O: 0.135 0.240 0.222
O: 0.365 0.740 0.722
O: 0.397 0.555 0.245
O: 0.399 0.238 0.928
O: 0.399 0.950 0.220
O: 0.400 0.264 0.535
O: 0.600 0.736 0.035
O: 0.601 0.050 0.720
O: 0.601 0.762 0.428
O: 0.603 0.445 0.745
O: 0.635 0.260 0.222
O: 0.865 0.760 0.722
O: 0.897 0.945 0.245
O: 0.899 0.262 0.928
O: 0.899 0.550 0.220
O: 0.900 0.236 0.535

Output
ΔE_f   -2.389 eV/atom
Space group   Pna2_1, No. 33
Electronic total energy   -6.925 eV/atom
E above lowest polymorph   0.50 eV per formula unit
Crystal system   orthorhombic


# 4
The following is a DFT calculation (GGA+U) of a relaxed structure of LiCrP2O7.

Cell lengths 7.043, 10.027, 8.100 Å; angles 90.00, 110.92, 90.00 degrees
Fractional coordinates of all 44 atoms:
Li: 0.102 0.162 0.050
Li: 0.102 0.338 0.550
Li: 0.898 0.662 0.450
Li: 0.898 0.838 0.950
Cr: 0.231 0.608 0.256
Cr: 0.231 0.892 0.756
Cr: 0.769 0.108 0.244
Cr: 0.769 0.392 0.744
P: 0.139 0.591 0.818
P: 0.139 0.909 0.318
P: 0.469 0.646 0.704
P: 0.469 0.854 0.204
P: 0.531 0.146 0.796
P: 0.531 0.354 0.296
P: 0.861 0.091 0.682
P: 0.861 0.409 0.182
O: 0.025 0.031 0.213
O: 0.025 0.469 0.713
O: 0.061 0.719 0.707
O: 0.061 0.781 0.207
O: 0.123 0.605 0.997
O: 0.123 0.895 0.497
O: 0.320 0.620 0.518
O: 0.320 0.880 0.018
O: 0.324 0.082 0.754
O: 0.324 0.418 0.254
O: 0.372 0.572 0.836
O: 0.372 0.928 0.336
O: 0.489 0.706 0.260
O: 0.489 0.794 0.760
O: 0.511 0.206 0.240
O: 0.511 0.294 0.740
O: 0.628 0.072 0.664
O: 0.628 0.428 0.164
O: 0.676 0.582 0.746
O: 0.676 0.918 0.246
O: 0.680 0.120 0.982
O: 0.680 0.380 0.482
O: 0.877 0.105 0.503
O: 0.877 0.395 0.003
O: 0.939 0.219 0.793
O: 0.939 0.281 0.293
O: 0.975 0.531 0.287
O: 0.975 0.969 0.787

Output
ΔE_f   -2.620 eV/atom
Space group   P2_1/c, No. 14
Electronic total energy   -7.185 eV/atom
E above lowest polymorph   0.60 eV per formula unit
Crystal system   monoclinic


# 5
The following is a DFT calculation (GGA+U) of a relaxed structure of LiCrP2O7.

Cell lengths 6.294, 6.294, 13.288 Å; angles 105.22, 105.22, 80.66 degrees
Fractional coordinates of all 44 atoms:
Li: 0.016 0.239 0.151
Li: 0.239 0.016 0.651
Li: 0.761 0.984 0.349
Li: 0.984 0.761 0.849
Cr: 0.126 0.598 0.361
Cr: 0.402 0.874 0.139
Cr: 0.598 0.126 0.861
Cr: 0.874 0.402 0.639
P: 0.091 0.248 0.863
P: 0.248 0.091 0.363
P: 0.334 0.416 0.572
P: 0.416 0.334 0.072
P: 0.584 0.666 0.928
P: 0.666 0.584 0.428
P: 0.752 0.909 0.637
P: 0.909 0.752 0.137
O: 0.018 0.575 0.200
O: 0.071 0.891 0.120
O: 0.090 0.275 0.317
O: 0.109 0.929 0.380
O: 0.189 0.335 0.628
O: 0.203 0.389 0.978
O: 0.215 0.606 0.518
O: 0.275 0.090 0.817
O: 0.335 0.189 0.128
O: 0.389 0.203 0.478
O: 0.394 0.785 0.982
O: 0.425 0.982 0.300
O: 0.441 0.535 0.356
O: 0.465 0.559 0.144
O: 0.535 0.441 0.856
O: 0.559 0.465 0.644
O: 0.575 0.018 0.700
O: 0.606 0.215 0.018
O: 0.611 0.797 0.522
O: 0.665 0.811 0.872
O: 0.725 0.910 0.183
O: 0.785 0.394 0.482
O: 0.797 0.611 0.022
O: 0.811 0.665 0.372
O: 0.891 0.071 0.620
O: 0.910 0.725 0.683
O: 0.929 0.109 0.880
O: 0.982 0.425 0.800

Output
ΔE_f   -2.662 eV/atom
Space group   C2/c, No. 15
Electronic total energy   -7.227 eV/atom
E above lowest polymorph   0.14 eV per formula unit
Crystal system   monoclinic


# 6
The following is a DFT calculation (GGA+U) of a relaxed structure of LiCrP4O12.

Cell lengths 6.869, 8.685, 7.299 Å; angles 90.00, 96.15, 90.00 degrees
Fractional coordinates of all 36 atoms:
Li: 0.173 0.000 0.306
Li: 0.827 0.500 0.694
Cr: 0.258 0.633 0.760
Cr: 0.742 0.133 0.240
P: 0.062 0.097 0.943
P: 0.091 0.432 0.398
P: 0.421 0.285 0.911
P: 0.481 0.569 0.411
P: 0.519 0.069 0.589
P: 0.579 0.785 0.089
P: 0.909 0.932 0.602
P: 0.938 0.597 0.057
O: 0.005 0.279 0.343
O: 0.010 0.067 0.725
O: 0.085 0.480 0.598
O: 0.129 0.640 0.988
O: 0.179 0.976 0.047
O: 0.191 0.250 0.921
O: 0.315 0.438 0.350
O: 0.330 0.995 0.527
O: 0.390 0.678 0.539
O: 0.423 0.444 0.827
O: 0.469 0.762 0.902
O: 0.498 0.661 0.222
O: 0.502 0.161 0.778
O: 0.531 0.262 0.098
O: 0.577 0.944 0.173
O: 0.610 0.178 0.461
O: 0.670 0.495 0.473
O: 0.685 0.938 0.650
O: 0.809 0.750 0.079
O: 0.821 0.476 0.953
O: 0.871 0.140 0.012
O: 0.915 0.980 0.402
O: 0.990 0.567 0.275
O: 0.995 0.779 0.657

Output
ΔE_f   -2.559 eV/atom
Space group   P2_1, No. 4
Electronic total energy   -7.134 eV/atom
E above lowest polymorph   1.50 eV per formula unit
Crystal system   monoclinic


# 7
The following is a DFT calculation (GGA+U) of a relaxed structure of LiCrP2O7.

Cell lengths 5.222, 5.222, 4.504 Å; angles 98.41, 98.41, 102.44 degrees
Fractional coordinates of all 11 atoms:
Li: 0.000 0.000 0.000
Cr: 0.628 0.372 0.000
P: 0.081 0.503 0.590
P: 0.497 0.919 0.410
O: 0.218 0.782 0.500
O: 0.288 0.377 0.743
O: 0.403 0.100 0.197
O: 0.623 0.712 0.257
O: 0.678 0.067 0.715
O: 0.900 0.597 0.803
O: 0.933 0.322 0.285

Output
ΔE_f   -2.655 eV/atom
Space group   C2, No. 5
Electronic total energy   -7.220 eV/atom
E above lowest polymorph   0.22 eV per formula unit
Maximum piezoelectric response   1.85 C/m²
Crystal system   monoclinic


# 8
The following is a DFT calculation (GGA+U) of a relaxed structure of Li3CrP2O8.

Cell lengths 8.421, 8.421, 8.421 Å; angles 63.67, 63.67, 63.67 degrees
Fractional coordinates of all 42 atoms:
Li: 0.000 0.000 0.000
Li: 0.133 0.795 0.317
Li: 0.143 0.143 0.143
Li: 0.234 0.644 0.841
Li: 0.317 0.133 0.795
Li: 0.488 0.488 0.488
Li: 0.644 0.841 0.234
Li: 0.795 0.317 0.133
Li: 0.841 0.234 0.644
Cr: 0.347 0.347 0.347
Cr: 0.632 0.632 0.632
Cr: 0.848 0.848 0.848
P: 0.037 0.444 0.736
P: 0.237 0.940 0.539
P: 0.444 0.736 0.037
P: 0.539 0.237 0.940
P: 0.736 0.037 0.444
P: 0.940 0.539 0.237
O: 0.009 0.608 0.794
O: 0.042 0.259 0.894
O: 0.082 0.923 0.735
O: 0.105 0.506 0.294
O: 0.179 0.962 0.383
O: 0.233 0.421 0.584
O: 0.259 0.894 0.042
O: 0.294 0.105 0.506
O: 0.383 0.179 0.962
O: 0.392 0.745 0.570
O: 0.421 0.584 0.233
O: 0.486 0.662 0.880
O: 0.506 0.294 0.105
O: 0.570 0.392 0.745
O: 0.584 0.233 0.421
O: 0.608 0.794 0.009
O: 0.662 0.880 0.486
O: 0.735 0.082 0.923
O: 0.745 0.570 0.392
O: 0.794 0.009 0.608
O: 0.880 0.486 0.662
O: 0.894 0.042 0.259
O: 0.923 0.735 0.082
O: 0.962 0.382 0.179

Output
ΔE_f   -2.626 eV/atom
Space group   R3, No. 146
Electronic total energy   -6.790 eV/atom
E above lowest polymorph   0.61 eV per formula unit
Crystal system   trigonal


# 9
The following is a DFT calculation (GGA+U) of a relaxed structure of LiCrPO5.

Cell lengths 6.399, 7.130, 7.445 Å; angles 89.86, 89.99, 89.97 degrees
Fractional coordinates of all 32 atoms:
Li: 0.000 0.000 0.000
Li: 0.003 0.500 0.500
Li: 0.498 0.499 0.501
Li: 0.501 0.000 0.999
Cr: 0.250 0.138 0.728
Cr: 0.250 0.640 0.769
Cr: 0.751 0.362 0.230
Cr: 0.751 0.866 0.272
P: 0.251 0.375 0.126
P: 0.251 0.873 0.374
P: 0.751 0.130 0.626
P: 0.751 0.625 0.873
O: 0.060 0.371 0.254
O: 0.060 0.872 0.247
O: 0.250 0.054 0.488
O: 0.250 0.196 0.004
O: 0.250 0.557 0.014
O: 0.250 0.695 0.496
O: 0.254 0.891 0.823
O: 0.255 0.388 0.682
O: 0.442 0.371 0.253
O: 0.442 0.872 0.247
O: 0.559 0.128 0.752
O: 0.559 0.632 0.744
O: 0.751 0.091 0.176
O: 0.751 0.307 0.503
O: 0.751 0.443 0.982
O: 0.751 0.631 0.320
O: 0.751 0.803 0.994
O: 0.751 0.949 0.509
O: 0.942 0.127 0.752
O: 0.943 0.631 0.744

Output
ΔE_f   -2.428 eV/atom
Space group   P1, No. 1
Electronic total energy   -6.963 eV/atom
E above lowest polymorph   0.19 eV per formula unit
Crystal system   triclinic


# 10
The following is a DFT calculation (GGA+U) of a relaxed structure of Li2Cr3P4O14.

Cell lengths 6.092, 6.648, 7.465 Å; angles 75.27, 77.54, 71.70 degrees
Fractional coordinates of all 23 atoms:
Li: 0.115 0.027 0.200
Li: 0.885 0.973 0.800
Cr: 0.281 0.512 0.170
Cr: 0.500 0.000 0.500
Cr: 0.719 0.488 0.830
P: 0.146 0.679 0.574
P: 0.325 0.254 0.833
P: 0.675 0.746 0.167
P: 0.854 0.321 0.426
O: 0.094 0.219 0.939
O: 0.103 0.289 0.317
O: 0.156 0.710 0.363
O: 0.259 0.827 0.629
O: 0.287 0.429 0.636
O: 0.438 0.356 0.944
O: 0.498 0.941 0.238
O: 0.502 0.059 0.762
O: 0.562 0.644 0.056
O: 0.713 0.571 0.364
O: 0.741 0.173 0.371
O: 0.844 0.290 0.637
O: 0.897 0.711 0.683
O: 0.906 0.781 0.061

Output
ΔE_f   -2.563 eV/atom
Space group   P-1, No. 2
Electronic total energy   -7.263 eV/atom
E above lowest polymorph   0.02 eV per formula unit
Crystal system   triclinic